(1)
# MgV6O5F19 PBE+U relaxed
data_MgV6O5F19
_chemical_formula_sum 'Mg1 V6 O5 F19'
_cell_length_a 5.366
_cell_length_b 5.473
_cell_length_c 15.486
_cell_angle_alpha 99.94
_cell_angle_beta 90.07
_cell_angle_gamma 90.57
_space_group_name_H-M_alt 'P 1'
_space_group_IT_number 1
loop_
_space_group_symop_operation_xyz
'x,y,z'
loop_
_atom_site_label
_atom_site_fract_x
_atom_site_fract_y
_atom_site_fract_z
Mg1 0.000 0.000 0.000
V1 0.238 0.567 0.514
V2 0.268 0.166 0.836
V3 0.297 0.804 0.188
V4 0.787 0.065 0.514
V5 0.788 0.686 0.834
V6 0.806 0.304 0.197
O1 0.040 0.112 0.205
O2 0.059 0.813 0.535
O3 0.480 0.566 0.163
O4 0.970 0.313 0.536
O5 0.988 0.948 0.855
F1 0.002 0.624 0.207
F2 0.055 0.456 0.859
F3 0.171 0.442 0.404
F4 0.187 0.802 0.069
F5 0.216 0.139 0.723
F6 0.296 0.182 0.958
F7 0.339 0.528 0.620
F8 0.352 0.886 0.301
F9 0.488 0.881 0.817
F10 0.496 0.198 0.489
F11 0.533 0.048 0.165
F12 0.533 0.700 0.487
F13 0.550 0.388 0.843
F14 0.666 0.406 0.302
F15 0.692 0.020 0.621
F16 0.734 0.755 0.961
F17 0.798 0.561 0.721
F18 0.840 0.276 0.067
F19 0.855 0.943 0.404
# Volume in Å³/cell: 448.0
# Excess energy over the best structure of this formula in the dataset in eV per atom: 0.028
# Energy of formation from the pure elements in eV per atom: -2.85



(2)
# MgV4O4F8 PBE+U relaxed
data_MgV4O4F8
_chemical_formula_sum 'Mg1 V4 O4 F8'
_cell_length_a 5.189
_cell_length_b 5.196
_cell_length_c 9.483
_cell_angle_alpha 76.27
_cell_angle_beta 76.56
_cell_angle_gamma 61.50
_space_group_name_H-M_alt 'P 1'
_space_group_IT_number 1
loop_
_space_group_symop_operation_xyz
'x,y,z'
loop_
_atom_site_label
_atom_site_fract_x
_atom_site_fract_y
_atom_site_fract_z
Mg1 0.000 0.000 0.000
V1 0.164 0.092 0.683
V2 0.338 0.363 0.952
V3 0.532 0.624 0.217
V4 0.847 0.857 0.454
O1 0.230 0.817 0.331
O2 0.285 0.128 0.843
O3 0.332 0.614 0.076
O4 0.475 0.892 0.574
F1 0.081 0.492 0.589
F2 0.097 0.755 0.830
F3 0.613 0.224 0.315
F4 0.614 0.963 0.079
F5 0.730 0.303 0.843
F6 0.829 0.617 0.325
F7 0.872 0.110 0.570
F8 0.955 0.347 0.083
# Volume in Å³/cell: 216.2
# Excess energy over the best structure of this formula in the dataset in eV per atom: 0.003
# Energy of formation from the pure elements in eV per atom: -2.94